(1)
YPaO4 | the Materials Project | r2SCAN | optimized geometry; total DFT energy (no corrections) = -24.235 eV/atom; calculated volume = 77 Å³ per cell; M_tot = 0.0000 μB per atom
1.0
3.790 0.000 0.000
0.000 3.790 0.000
0.000 0.000 5.365
Y Pa O
1 1 4
Cartesian
0.000 0.000 0.000
1.895 1.895 2.683
0.000 1.895 1.393
0.000 1.895 3.972
1.895 0.000 1.393
1.895 0.000 3.972

=====

(2)
Pb3O4 | the Materials Project | r2SCAN | optimized geometry; total DFT energy (no corrections) = -28.676 eV/atom; calculated volume = 237 Å³ per cell; M_tot = 0.0000 μB per atom
1.0
6.898 0.000 0.000
0.000 9.954 0.000
0.000 0.000 3.454
Pb O
6 8
Cartesian
0.000 0.000 0.000
0.001 3.092 1.727
6.897 6.862 1.727
3.450 1.885 1.727
3.449 4.977 0.000
3.448 8.069 1.727
1.024 1.909 0.000
1.098 9.049 1.727
2.351 4.072 1.727
2.425 6.886 0.000
4.473 3.068 0.000
4.547 5.882 1.727
5.800 0.905 1.727
5.874 8.045 0.000